This record from the Materials Project database describes a geometry-optimized NaCa3C2O7F3 structure. The functional is PBE.

Summary:
E above lowest polymorph = 0.000 eV/atom
space group = P3_1 (144)
corrected total energy (MP2020 scheme) = -6.84 eV per atom

Cell: 6.8084 6.8084 15.3686 Å, 90.00 90.00 120.00°
Closest atoms and distances in Å follow each position.
Fractional positions:
Na 0.5949 0.6633 0.4991  2 F 2.26-2.29, 2 O 2.36-2.40
Na 0.0684 0.4051 0.1658  2 F 2.26-2.29, 2 O 2.36-2.40
Na 0.3367 0.9316 0.8324  2 F 2.26-2.29, 2 O 2.36-2.40
Ca 0.9732 0.6676 0.6608  3 F 2.29-2.55, 5 O 2.39-2.55
Ca 0.6944 0.0268 0.3275  3 F 2.29-2.55, 5 O 2.39-2.55
Ca 0.3324 0.3056 0.9942  3 F 2.29-2.55, 5 O 2.39-2.55
Ca 0.7035 0.0406 0.0077  3 F 2.23-2.41, 1 O 2.47
Ca 0.3371 0.2965 0.6744  3 F 2.23-2.41, 1 O 2.47
Ca 0.9594 0.6629 0.3411  3 F 2.23-2.41, 1 O 2.47
Ca 0.7189 0.0493 0.6625  3 F 2.29-2.34, 2 O 2.46-2.50
Ca 0.3304 0.2811 0.3292  3 F 2.29-2.34, 2 O 2.46-2.50
Ca 0.9507 0.6696 0.9958  3 F 2.29-2.34, 2 O 2.46-2.50
C 0.8991 0.9950 0.8245  3 O 1.28-1.31
C 0.0959 0.1009 0.4911  3 O 1.28-1.31
C 0.0050 0.9041 0.1578  3 O 1.28-1.31
C 0.7666 0.4312 0.8263  3 O 1.29-1.31
C 0.6645 0.2334 0.4930  3 O 1.29-1.31
C 0.5688 0.3355 0.1597  3 O 1.29-1.31
O 0.3303 0.3696 0.8415  2 O 2.35-2.38, 2 Ca 2.39-2.62
O 0.0394 0.6697 0.5082  2 O 2.35-2.38, 2 Ca 2.39-2.62
O 0.6304 0.9606 0.1748  2 O 2.35-2.38, 2 Ca 2.39-2.62
O 0.9716 0.5935 0.8377  1 C 1.29
O 0.6219 0.0284 0.5044  1 C 1.29
O 0.4065 0.3781 0.1710  1 C 1.29
O 0.0180 0.0381 0.8964  1 C 1.31
O 0.0201 0.9820 0.5630  1 C 1.31
O 0.9619 0.9799 0.2297  1 C 1.31
O 0.6965 0.9602 0.8293  1 C 1.28
O 0.2637 0.3035 0.4960  1 C 1.28
O 0.0398 0.7363 0.1626  1 C 1.28
O 0.6411 0.3367 0.8952  1 C 1.31
O 0.6956 0.3589 0.5618  1 C 1.31
O 0.6633 0.3044 0.2285  1 C 1.31
O 0.6857 0.3625 0.7491  1 C 1.29
O 0.6767 0.3143 0.4158  1 C 1.29
O 0.6375 0.3233 0.0824  1 C 1.29
O 0.0018 0.0127 0.4169  1 C 1.30
O 0.0109 0.9982 0.0836  1 C 1.30
O 0.9873 0.9891 0.7503  1 C 1.30
F 0.6009 0.6687 0.6458  1 Na 2.26, 2 Ca 2.30-2.31
F 0.0678 0.3991 0.3125  1 Na 2.26, 2 Ca 2.30-2.31
F 0.3313 0.9322 0.9792  1 Na 2.26, 2 Ca 2.30-2.31
F 0.6119 0.6781 0.9981  3 Ca 2.23-2.34
F 0.0662 0.3881 0.6648  3 Ca 2.23-2.34
F 0.3219 0.9338 0.3314  3 Ca 2.23-2.34
F 0.6015 0.6537 0.3502  1 Na 2.29, 3 Ca 2.29-2.41
F 0.0522 0.3985 0.0168  1 Na 2.29, 3 Ca 2.29-2.41
F 0.3463 0.9478 0.6835  1 Na 2.29, 3 Ca 2.29-2.41


This record from the Materials Project database describes a geometry-optimized W2C structure. The functional is PBE.

Summary:
space group = P-31m (162)

Cell: 5.2569 5.2569 4.7794 Å, 90.00 90.00 120.00°
Closest atoms and distances in Å follow each position.
Fractional positions:
W 0.6680 0.6680 0.2479  3 C 2.11-2.13
W 0.3320 0.3320 0.7521  3 C 2.11-2.13
W 0.0000 0.3320 0.2479  3 C 2.11-2.13
W 0.3320 0.0000 0.2479  3 C 2.11-2.13
W 0.6680 0.0000 0.7521  3 C 2.11-2.13
W 0.0000 0.6680 0.7521  3 C 2.11-2.13
C 0.0000 0.0000 0.0000  6 W 2.11
C 0.6667 0.3333 0.5000  6 W 2.13
C 0.3333 0.6667 0.5000  6 W 2.13


This record from the Materials Project database describes a geometry-optimized HfAl2Zn structure. The functional is PBE.

Summary:
space group = P4/mmm (123)

Cell: 4.0767 4.0767 4.0263 Å, 90.00 90.00 90.00°
Closest atoms and distances in Å follow each position.
Fractional positions:
Hf 0.0000 0.0000 0.0000  8 Al 2.86, 4 Zn 2.88
Al 0.0000 0.5000 0.5000  4 Hf 2.86, 4 Zn 2.86, 4 Al 2.88
Al 0.5000 0.0000 0.5000  4 Hf 2.86, 4 Zn 2.86, 4 Al 2.88
Zn 0.5000 0.5000 0.0000  8 Al 2.86, 4 Hf 2.88


This record from the Materials Project database describes a geometry-optimized LuZnSn2 structure. The functional is PBE.

Summary:
space group = P4/nmm (129)

Cell: 4.3279 4.3279 9.7453 Å, 90.00 90.00 90.00°
Closest atoms and distances in Å follow each position.
Fractional positions:
Lu 0.0000 0.5000 0.7508  8 Sn 3.12-3.25, 4 Zn 3.26
Lu 0.5000 0.0000 0.2492  8 Sn 3.12-3.25, 4 Zn 3.26
Zn 0.0000 0.0000 0.5000  4 Sn 2.85, 4 Zn 3.06
Zn 0.5000 0.5000 0.5000  4 Sn 2.85, 4 Zn 3.06
Sn 0.0000 0.0000 0.0000  4 Sn 3.06, 4 Lu 3.25
Sn 0.5000 0.5000 0.0000  4 Sn 3.06, 4 Lu 3.25
Sn 0.0000 0.5000 0.3100  4 Zn 2.85, 4 Lu 3.12
Sn 0.5000 0.0000 0.6900  4 Zn 2.85, 4 Lu 3.12


This record from the Materials Project database describes a geometry-optimized Er2TlHg structure. The functional is PBE.

Summary:
space group = Fm-3m (225)

Cell: 5.2773 5.2773 5.2773 Å, 60.00 60.00 60.00°
Closest atoms and distances in Å follow each position.
Fractional positions:
Er 0.2500 0.2500 0.2500  4 Hg 3.23, 4 Tl 3.23
Er 0.7500 0.7500 0.7500  4 Hg 3.23, 4 Tl 3.23
Tl 0.0000 0.0000 0.0000  8 Er 3.23
Hg 0.5000 0.5000 0.5000  8 Er 3.23


This record from the Materials Project database describes a geometry-optimized H12PdC4N2O10 structure. The functional is PBE.

Summary:
space group = P2_1/c (14)
corrected total energy (MP2020 scheme) = -6.24 eV per atom

Cell: 6.5578 7.5746 14.0991 Å, 90.00 90.00 116.20°
Closest atoms and distances in Å follow each position.
Fractional positions:
H 0.0462 0.8731 0.3285  1 O 0.98
H 0.9538 0.1269 0.6715  1 O 0.98
H 0.4538 0.1269 0.8285  1 O 0.98
H 0.5462 0.8731 0.1715  1 O 0.98
H 0.1256 0.5980 0.1065  1 N 1.04
H 0.8744 0.4020 0.8935  1 N 1.04
H 0.3744 0.4020 0.6065  1 N 1.04
H 0.6256 0.5980 0.3935  1 N 1.04
H 0.4844 0.0220 0.7368  1 O 0.98
H 0.5156 0.9780 0.2632  1 O 0.98
H 0.0156 0.9780 0.2368  1 O 0.98
H 0.9844 0.0220 0.7632  1 O 0.98
H 0.0075 0.3277 0.8088  1 N 1.05
H 0.9925 0.6723 0.1912  1 N 1.05
H 0.4925 0.6723 0.3088  1 N 1.05
H 0.5075 0.3277 0.6912  1 N 1.05
H 0.3386 0.4838 0.3842  1 N 1.04
H 0.6614 0.5162 0.6158  1 N 1.04
H 0.1614 0.5162 0.8842  1 N 1.04
H 0.8386 0.4838 0.1158  1 N 1.04
H 0.4965 0.4544 0.2973  1 N 1.04
H 0.5035 0.5456 0.7027  1 N 1.04
H 0.0035 0.5456 0.7973  1 N 1.04
H 0.9965 0.4544 0.2027  1 N 1.04
Pd 0.0000 0.0000 0.0000  4 O 2.03-2.05
Pd 0.5000 0.0000 0.5000  4 O 2.03-2.05
C 0.4680 0.2529 0.0114  2 O 1.25-1.30
C 0.5320 0.7471 0.9886  2 O 1.25-1.30
C 0.0320 0.7471 0.5114  2 O 1.25-1.30
C 0.9680 0.2529 0.4886  2 O 1.25-1.30
C 0.3672 0.2590 0.1100  2 O 1.24-1.30
C 0.6328 0.7410 0.8900  2 O 1.24-1.30
C 0.1328 0.7410 0.6100  2 O 1.24-1.30
C 0.8672 0.2590 0.3900  2 O 1.24-1.30
N 0.4897 0.5526 0.3468  4 H 1.04-1.05
N 0.5103 0.4474 0.6532  4 H 1.04-1.05
N 0.0103 0.4474 0.8468  4 H 1.04-1.05
N 0.9897 0.5526 0.1532  4 H 1.04-1.05
O 0.0449 0.1482 0.7296  2 H 0.98
O 0.9551 0.8518 0.2704  2 H 0.98
O 0.4551 0.8518 0.2296  2 H 0.98
O 0.5449 0.1482 0.7704  2 H 0.98
O 0.1744 0.8615 0.4486  1 C 1.30
O 0.8256 0.1385 0.5514  1 C 1.30
O 0.3256 0.1385 0.9486  1 C 1.30
O 0.6744 0.8615 0.0514  1 C 1.30
O 0.1752 0.3544 0.5026  1 C 1.25
O 0.8248 0.6456 0.4974  1 C 1.25
O 0.3248 0.6456 0.0026  1 C 1.25
O 0.6752 0.3544 0.9974  1 C 1.25
O 0.4948 0.3597 0.1742  1 C 1.24
O 0.5052 0.6403 0.8258  1 C 1.24
O 0.0052 0.6403 0.6742  1 C 1.24
O 0.9948 0.3597 0.3258  1 C 1.24
O 0.1487 0.1534 0.1188  1 C 1.30
O 0.8513 0.8466 0.8812  1 C 1.30
O 0.3513 0.8466 0.6188  1 C 1.30
O 0.6487 0.1534 0.3812  1 C 1.30


This record from the Materials Project database describes a geometry-optimized Na6Ta2In2Si5SO24 structure. The functional is PBE.

Summary:
space group = P1 (1)
corrected total energy (MP2020 scheme) = -7.41 eV per atom

Cell: 9.1577 9.1484 22.6014 Å, 89.93 90.10 120.07°
Closest atoms and distances in Å follow each position.
Fractional positions:
Na 0.6473 0.0206 0.2480  4 O 2.41-2.53
Na 0.3648 0.3476 0.2544  3 O 2.36-2.54
Na 0.9874 0.6283 0.2477  3 O 2.32-2.55
Na 0.9899 0.3531 0.7489  5 O 2.45-2.65
Na 0.2974 0.3443 0.5790  4 O 2.38-2.45
Na 0.6599 0.9558 0.5788  5 O 2.41-2.60
Na 0.6704 0.6975 0.0727  3 O 2.33-2.55
Na 0.0204 0.3390 0.0791  5 O 2.44-2.70
Na 0.9537 0.6644 0.9104  5 O 2.37-2.64
Na 0.7179 0.0385 0.9173  6 O 2.45-2.65
Na 0.3262 0.3021 0.9105  4 O 2.37-2.55
Na 0.6986 0.6757 0.4170  4 O 2.33-2.60
Na 0.0119 0.0184 0.4938  2 O 2.33-2.47
Na 0.9889 0.9939 0.9958  6 O 2.44-2.72
Na 0.6636 0.3424 0.8304  6 O 2.48-2.68
Na 0.6610 0.3164 0.3319  6 O 2.50-2.73
Na 0.3297 0.6945 0.1610  3 O 2.36-2.55
Na 0.3298 0.6780 0.6605  4 O 2.37-2.63
Ta 0.9958 0.9929 0.6471  6 O 1.93-2.09
Ta 0.9940 0.9949 0.1512  5 O 1.91-2.02
Ta 0.6657 0.3348 0.6866  6 O 1.92-2.03
Ta 0.6546 0.3210 0.4804  5 O 1.89-2.04
Ta 0.3453 0.6709 0.3139  5 O 1.93-2.05
Ta 0.3356 0.6543 0.8068  5 O 1.92-2.01
In 0.0043 0.0128 0.3525  5 O 2.04-2.17
In 0.9902 0.9972 0.8443  5 O 2.07-2.22
In 0.6725 0.3299 0.1830  6 O 2.07-2.23
In 0.6889 0.3467 0.9825  4 O 2.09-2.20
In 0.3357 0.6736 0.0174  5 O 2.08-2.16
In 0.3325 0.6648 0.5220  6 O 2.08-2.23
Si 0.2916 0.9980 0.2522  4 O 1.59-1.68
Si 0.7067 0.7051 0.2536  4 O 1.60-1.69
Si 0.0034 0.2978 0.2502  4 O 1.60-1.69
Si 0.2951 0.2847 0.7504  4 O 1.61-1.69
Si 0.0005 0.7054 0.7518  4 O 1.61-1.67
Si 0.7016 0.9994 0.7495  4 O 1.62-1.66
Si 0.9533 0.3318 0.5846  4 O 1.61-1.67
Si 0.3713 0.0434 0.5852  4 O 1.60-1.69
Si 0.6762 0.6245 0.5819  4 O 1.62-1.66
Si 0.9703 0.6414 0.0842  4 O 1.62-1.67
Si 0.6665 0.0320 0.0841  4 O 1.61-1.70
Si 0.6255 0.6648 0.9175  4 O 1.62-1.68
Si 0.0439 0.3726 0.9163  4 O 1.62-1.68
Si 0.6285 0.9632 0.4200  4 O 1.61-1.71
Si 0.3344 0.3702 0.4205  4 O 1.60-1.72
S 0.3633 0.3230 0.0835  4 O 1.48-1.50
S 0.3339 0.9584 0.9141  4 O 1.48-1.49
S 0.0391 0.6589 0.4162  4 O 1.45-1.52
O 0.2142 0.0395 0.3085  1 Si 1.59
O 0.8220 0.7753 0.3117  1 Si 1.60
O 0.9486 0.1672 0.3039  1 Si 1.60
O 0.2260 0.1883 0.8124  1 Si 1.61
O 0.9689 0.7719 0.8136  1 Si 1.61
O 0.8140 0.0519 0.8092  1 Si 1.62
O 0.8026 0.9727 0.6932  1 Si 1.66
O 0.1620 0.1928 0.6948  1 Si 1.66
O 0.0233 0.8359 0.6967  1 Si 1.66
O 0.8023 0.8371 0.1961  1 Si 1.69
O 0.0380 0.2081 0.1908  1 Si 1.69
O 0.1621 0.9698 0.1951  1 Si 1.68
O 0.8582 0.3459 0.6435  1 Si 1.63
O 0.4988 0.1492 0.6392  1 Si 1.63
O 0.6572 0.5009 0.6372  1 Si 1.64
O 0.8826 0.5287 0.1426  1 Si 1.62
O 0.6408 0.1111 0.1443  1 Si 1.61
O 0.4645 0.3446 0.1372  1 S 1.48
O 0.4408 0.3030 0.0291  1 S 1.48
O 0.8490 0.5742 0.0250  1 Si 1.65
O 0.7034 0.1486 0.0243  1 Si 1.65
O 0.4660 0.1688 0.5259  1 Si 1.69, 1 Ta 1.89
O 0.6960 0.5325 0.5214  1 Si 1.66
O 0.8251 0.3050 0.5277  1 Si 1.67
O 0.5524 0.6997 0.9778  1 Si 1.62
O 0.1475 0.4536 0.9772  1 Si 1.62
O 0.3082 0.8628 0.9696  1 S 1.48
O 0.5439 0.8552 0.4790  1 Si 1.61
O 0.3153 0.4540 0.4801  1 Si 1.60
O 0.1375 0.6795 0.4693  1 S 1.45
O 0.1270 0.6455 0.3614  1 S 1.52
O 0.5017 0.8616 0.3608  1 Si 1.71
O 0.3566 0.5011 0.3621  1 Si 1.72
O 0.1493 0.4976 0.8587  1 Si 1.68
O 0.3512 0.8681 0.8624  1 S 1.48
O 0.4994 0.6528 0.8611  1 Si 1.68
O 0.0104 0.8038 0.4123  1 S 1.48
O 0.8067 0.9662 0.4140  1 Si 1.62
O 0.1795 0.1806 0.4153  1 Si 1.60
O 0.0262 0.1853 0.9132  1 Si 1.64
O 0.1842 0.9801 0.9101  1 S 1.48
O 0.8166 0.8274 0.9124  1 Si 1.64
O 0.9629 0.1542 0.5900  1 Si 1.67
O 0.1913 0.0410 0.5919  1 Si 1.65
O 0.8440 0.8148 0.5901  1 Si 1.66
O 0.9856 0.8302 0.0931  1 Si 1.67
O 0.8489 0.0265 0.0910  1 Si 1.70
O 0.1909 0.1704 0.0883  1 S 1.50
O 0.6811 0.1658 0.7389  1 Si 1.64
O 0.4865 0.3223 0.7398  1 Si 1.63
O 0.8413 0.5126 0.7409  1 Si 1.65
O 0.6599 0.5131 0.2413  1 Si 1.61
O 0.8488 0.3361 0.2458  1 Si 1.62
O 0.4809 0.1570 0.2439  1 Si 1.62
O 0.6219 0.4823 0.9174  1 Si 1.65
O 0.8579 0.3604 0.9133  1 Si 1.65
O 0.4905 0.1270 0.9170  1 S 1.49
O 0.6441 0.1524 0.4227  1 Si 1.67
O 0.5223 0.3764 0.4206  1 Si 1.69
O 0.8699 0.4996 0.4179  1 S 1.50
O 0.3436 0.4747 0.0813  1 S 1.49
O 0.1499 0.6464 0.0796  1 Si 1.63
O 0.5162 0.8351 0.0820  1 Si 1.63
O 0.3629 0.8644 0.5819  1 Si 1.60
O 0.5096 0.6441 0.5844  1 Si 1.62
O 0.1432 0.4902 0.5827  1 Si 1.61
O 0.2976 0.8187 0.2578  1 Si 1.67
O 0.5234 0.7050 0.2583  1 Si 1.68
O 0.1814 0.4824 0.2589  1 Si 1.67
O 0.3047 0.4740 0.7552  1 Si 1.69
O 0.1703 0.6830 0.7563  1 Si 1.67
O 0.5151 0.8287 0.7570  1 Si 1.65


This record from the Materials Project database describes a geometry-optimized ScCoSn structure. The functional is PBE.

Summary:
space group = Pnma (62)

Cell: 4.4425 6.8902 7.1553 Å, 90.00 90.00 90.00°
Closest atoms and distances in Å follow each position.
Fractional positions:
Sc 0.2500 0.9799 0.7892  4 Co 2.69-2.94, 2 Sn 2.95
Sc 0.2500 0.4799 0.7108  4 Co 2.69-2.94, 2 Sn 2.95
Sc 0.7500 0.0201 0.2108  4 Co 2.69-2.94, 2 Sn 2.95
Sc 0.7500 0.5201 0.2892  4 Co 2.69-2.94, 2 Sn 2.95
Co 0.2500 0.1490 0.4505  4 Sn 2.55-2.59, 1 Sc 2.69
Co 0.2500 0.6490 0.0495  4 Sn 2.55-2.59, 1 Sc 2.69
Co 0.7500 0.8510 0.5495  4 Sn 2.55-2.59, 1 Sc 2.69
Co 0.7500 0.3510 0.9505  4 Sn 2.55-2.59, 1 Sc 2.69
Sn 0.2500 0.7833 0.3870  4 Co 2.55-2.59
Sn 0.2500 0.2833 0.1130  4 Co 2.55-2.59
Sn 0.7500 0.2167 0.6130  4 Co 2.55-2.59
Sn 0.7500 0.7167 0.8870  4 Co 2.55-2.59


This record from the Materials Project database describes a geometry-optimized LaTlO3 structure. The functional is PBE.

Summary:
piezoelectric modulus e_max = 1.549 C/m2
space group = P6_3mc (186)
corrected total energy (MP2020 scheme) = -6.76 eV per atom

Cell: 3.7519 3.7519 13.0279 Å, 90.00 90.00 120.00°
Closest atoms and distances in Å follow each position.
Fractional positions:
La 0.0000 0.0000 0.9934  3 O 2.27
La 0.0000 0.0000 0.4934  3 O 2.27
Tl 0.6667 0.3333 0.2615  3 O 2.30
Tl 0.3333 0.6667 0.7615  3 O 2.30
O 0.0000 0.0000 0.7030  3 Tl 2.30
O 0.0000 0.0000 0.2030  3 Tl 2.30
O 0.6667 0.3333 0.8717  3 Tl 2.60, 3 La 2.68
O 0.3333 0.6667 0.3717  3 Tl 2.60, 3 La 2.68
O 0.3333 0.6667 0.0454  3 La 2.27
O 0.6667 0.3333 0.5454  3 La 2.27


no.,total DFT energy (no corrections) (eV per atom),formation energy from the elements (meV per atom)
1,-6.457,-2707.9
2,-11.713,2.2
3,-5.059,-382.3
4,-3.825,-375.1
5,-3.343,-392.8
6,-6.003,-1103.0
7,-6.997,-2729.5
8,-6.296,-479.6
9,-6.349,-2333.2